[1]
# UAl7Fe3Cu2

Crystalline UAl7Fe3Cu2 at its relaxed geometry (PBE, the Materials Project).

Geometry as CIF:
```
data_UAl7Fe3Cu2
_chemical_formula_sum 'U2 Al14 Fe6 Cu4'
_cell_length_a 12.199
_cell_length_b 5.018
_cell_length_c 8.673
_cell_angle_alpha 90.00
_cell_angle_beta 134.29
_cell_angle_gamma 90.00
_symmetry_space_group_name_H-M 'C 1 m 1'
_symmetry_Int_Tables_number 8
loop_
_symmetry_equiv_pos_as_xyz
'x,y,z'
'x,-y,z'
'x+1/2,y+1/2,z'
'x+1/2,-y+1/2,z'
loop_
_atom_site_label
_atom_site_fract_x
_atom_site_fract_y
_atom_site_fract_z
_atom_site_occupancy
U1 0.000 0.000 0.000 1
Al1 0.006 0.000 0.667 1
Al2 0.153 0.500 0.676 1
Al3 0.207 0.500 0.208 1
Al4 0.291 0.000 0.795 1
Al5 0.347 0.000 0.359 1
Al6 0.489 0.500 0.341 1
Al7 0.496 0.000 0.226 1
Fe1 0.007 0.500 0.789 1
Fe2 0.248 0.246 0.008 1
Cu1 0.248 0.251 0.506 1
```

Computed properties:
Crystal system: monoclinic
Formation energy, eV per atom: -0.263

=====

[2]
# GdAl6Cu6

Crystalline GdAl6Cu6 at its relaxed geometry (PBE, the Materials Project).

Geometry as CIF:
```
data_GdAl6Cu6
_chemical_formula_sum 'Gd2 Al12 Cu12'
_cell_length_a 5.088
_cell_length_b 8.600
_cell_length_c 8.713
_cell_angle_alpha 90.00
_cell_angle_beta 90.00
_cell_angle_gamma 90.00
_symmetry_space_group_name_H-M 'I m m m'
_symmetry_Int_Tables_number 71
_symmetry_space_group_name_Hall '-I 2 2'
loop_
_atom_site_label
_atom_site_fract_x
_atom_site_fract_y
_atom_site_fract_z
_atom_site_occupancy
Gd1 0.000 0.000 0.000 1
Al1 0.000 0.000 0.349 1
Al2 0.000 0.347 0.000 1
Al3 0.000 0.500 0.297 1
Cu1 0.000 0.271 0.500 1
Cu2 0.250 0.250 0.250 1
```

Computed properties:
Crystal system: orthorhombic
Formation energy, eV per atom: -0.355

=====

[3]
# GdAlCu4

Crystalline GdAlCu4 at its relaxed geometry (PBE, the Materials Project).

Geometry as CIF:
```
data_GdAlCu4
_chemical_formula_sum 'Gd1 Al1 Cu4'
_cell_length_a 5.1865
_cell_length_b 5.1865
_cell_length_c 4.0532
_cell_angle_alpha 90.00
_cell_angle_beta 90.00
_cell_angle_gamma 120.00
_symmetry_space_group_name_H-M 'P -6 m 2'
_symmetry_Int_Tables_number 187
_symmetry_space_group_name_Hall 'P -6 2'
loop_
_atom_site_label
_atom_site_fract_x
_atom_site_fract_y
_atom_site_fract_z
_atom_site_occupancy
Gd1 0.0000 0.0000 0.0000 1
Al1 0.6667 0.3333 0.0000 1
Cu1 0.0016 0.5008 0.5000 1
Cu2 0.3333 0.6667 0.0000 1
```

Computed properties:
Crystal system: hexagonal
Formation energy, eV per atom: -0.245

=====

[4]
# Al6CuP4H16O28

Crystalline Al6CuP4H16O28 at its relaxed geometry (PBE, the Materials Project).

Geometry as CIF:
```
data_Al6CuP4H16O28
_chemical_formula_sum 'Al6 Cu1 P4 H16 O28'
_cell_length_a 7.641
_cell_length_b 8.026
_cell_length_c 10.718
_cell_angle_alpha 74.30
_cell_angle_beta 69.37
_cell_angle_gamma 63.46
_symmetry_space_group_name_H-M 'P -1'
_symmetry_Int_Tables_number 2
loop_
_symmetry_equiv_pos_as_xyz
'x,y,z'
'-x,-y,-z'
loop_
_atom_site_label
_atom_site_fract_x
_atom_site_fract_y
_atom_site_fract_z
_atom_site_occupancy
Al1 0.025 0.225 0.179 1
Al2 0.288 0.756 0.236 1
Al3 0.329 0.177 0.756 1
Cu1 0.500 0.000 0.000 1
P1 0.130 0.585 0.078 1
P2 0.144 0.071 0.600 1
H1 0.037 0.959 0.093 1
H2 0.067 0.034 0.894 1
H3 0.126 0.675 0.580 1
H4 0.267 0.536 0.677 1
H5 0.312 0.910 0.423 1
H6 0.329 0.286 0.271 1
H7 0.337 0.883 0.901 1
H8 0.392 0.394 0.441 1
O1 0.073 0.775 0.383 1
O2 0.093 0.318 0.846 1
O3 0.125 0.610 0.672 1
O4 0.146 0.895 0.699 1
O5 0.150 0.660 0.926 1
O6 0.184 0.370 0.104 1
O7 0.205 0.032 0.450 1
O8 0.242 0.999 0.145 1
O9 0.247 0.363 0.345 1
O10 0.273 0.637 0.120 1
O11 0.295 0.141 0.611 1
O12 0.389 0.437 0.347 1
O13 0.419 0.958 0.861 1
O14 0.493 0.722 0.296 1
```

Computed properties:
Crystal system: triclinic
Formation energy, eV per atom: -1.978